Record 1
Entry from Materials Project: SrLa2Co3O9 after structural relaxation (PBE with a Hubbard U).

Calculated values
E (MP2020)	-7.5433	eV/atom
formation energy from the elements	-2.38	eV per atom
polymorph energy (0 for the lowest one)	20.7	meV per atom

Structure (POSCAR):
```
SrLa2Co3O9
1.0
5.442 0.000 0.000
2.666 4.747 0.000
0.227 0.141 13.361
Sr La Co O
2 4 6 18
direct
0.000 0.000 0.000
0.000 0.000 0.495
0.334 0.333 0.833
0.335 0.333 0.329
0.667 0.666 0.662
0.667 0.668 0.167
0.000 0.000 0.748
0.000 0.001 0.248
0.332 0.333 0.581
0.334 0.334 0.081
0.666 0.667 0.414
0.667 0.667 0.914
0.006 0.498 0.502
0.170 0.664 0.170
0.171 0.171 0.166
0.172 0.656 0.669
0.173 0.171 0.666
0.335 0.834 0.326
0.342 0.828 0.827
0.496 0.009 0.502
0.499 0.498 0.995
0.500 0.503 0.500
0.504 0.991 0.994
0.657 0.173 0.668
0.666 0.168 0.169
0.827 0.344 0.827
0.827 0.829 0.829
0.827 0.834 0.330
0.831 0.337 0.325
0.993 0.503 0.993
```

Record 2
Entry from Materials Project: SrLaCoO4 after structural relaxation (PBE with a Hubbard U).

Calculated values
E (MP2020)	-7.5334	eV/atom
formation energy from the elements	-2.74	eV per atom
polymorph energy (0 for the lowest one)	23.8	meV per atom

Structure (POSCAR):
```
SrLaCoO4
1.0
2.717 -6.302 0.000
2.717 6.302 0.000
0.000 0.000 5.450
Sr La Co O
2 2 2 8
direct
0.106 0.894 0.750
0.894 0.106 0.250
0.388 0.612 0.750
0.612 0.388 0.250
0.249 0.751 0.250
0.751 0.249 0.750
0.000 0.500 0.000
0.000 0.500 0.500
0.088 0.912 0.250
0.425 0.575 0.250
0.500 0.000 0.000
0.500 0.000 0.500
0.575 0.425 0.750
0.912 0.088 0.750
```

Record 3
Entry from Materials Project: SrLaCoO4 after structural relaxation (PBE with a Hubbard U).

Calculated values
E (MP2020)	-7.5434	eV/atom
formation energy from the elements	-2.75	eV per atom
polymorph energy (0 for the lowest one)	13.8	meV per atom

Structure (POSCAR):
```
SrLaCoO4
1.0
3.863 0.000 0.000
-1.925 6.552 0.000
-1.899 -1.961 14.768
Sr La Co O
4 4 4 16
direct
0.000 0.000 0.000
0.248 0.247 0.250
0.500 0.501 0.500
0.749 0.747 0.750
0.039 0.756 0.320
0.289 0.006 0.569
0.539 0.257 0.820
0.789 0.506 0.069
0.020 0.379 0.659
0.273 0.635 0.909
0.520 0.879 0.159
0.773 0.135 0.409
0.013 0.865 0.161
0.134 0.484 0.783
0.147 0.673 0.618
0.148 0.342 0.954
0.267 0.120 0.412
0.393 0.591 0.198
0.395 0.750 0.039
0.399 0.931 0.866
0.513 0.365 0.661
0.634 0.983 0.283
0.647 0.173 0.118
0.648 0.843 0.454
0.767 0.620 0.912
0.893 0.091 0.698
0.895 0.250 0.540
0.899 0.430 0.366
```

Record 4
Entry from Materials Project: SrLaCoO4 after structural relaxation (PBE with a Hubbard U).

Calculated values
E (MP2020)	-7.5549	eV/atom
formation energy from the elements	-2.77	eV per atom
polymorph energy (0 for the lowest one)	2.3	meV per atom

Structure (POSCAR):
```
SrLaCoO4
1.0
5.431 0.000 0.000
0.000 12.872 0.000
0.000 0.000 5.443
Sr La Co O
4 4 4 16
direct
0.000 0.105 0.250
0.000 0.895 0.750
0.500 0.395 0.750
0.500 0.605 0.250
0.000 0.391 0.250
0.000 0.609 0.750
0.500 0.109 0.750
0.500 0.891 0.250
0.000 0.244 0.750
0.000 0.756 0.250
0.500 0.256 0.250
0.500 0.744 0.750
0.000 0.086 0.750
0.000 0.429 0.750
0.000 0.571 0.250
0.000 0.914 0.250
0.242 0.252 0.509
0.242 0.748 0.009
0.258 0.248 0.009
0.258 0.752 0.509
0.500 0.071 0.250
0.500 0.414 0.250
0.500 0.586 0.750
0.500 0.929 0.750
0.742 0.248 0.491
0.742 0.752 0.991
0.758 0.252 0.991
0.758 0.748 0.491
```

Q: The lowest E (MP2020) belongs to which entry?
A: number 4